The following is a r²SCAN calculation of a relaxed Eu2Ga9Rh3 crystal, from the Materials Project.

Summary:
Space-group type ... Cmcm, No. 63
Crystal system ... orthorhombic

a = 7.514 Å, b = 7.514 Å, c = 9.778 Å
α = 90.00°, β = 90.00°, γ = 119.43°
Element x y z (fractional)
Rh 0.329 0.671 0.000
Rh 0.329 0.671 0.500
Rh 0.671 0.329 0.500
Rh 0.000 0.000 0.500
Rh 0.671 0.329 0.000
Rh 0.000 0.000 0.000
Ga 0.337 0.337 0.941
Ga 0.869 0.869 0.750
Ga 0.336 0.544 0.250
Ga 0.337 0.337 0.559
Ga 0.131 0.131 0.250
Ga 0.544 0.336 0.250
Ga 0.994 0.665 0.572
Ga 0.994 0.665 0.928
Ga 0.335 0.006 0.072
Ga 0.335 0.006 0.428
Ga 0.665 0.994 0.572
Ga 0.664 0.456 0.750
Ga 0.663 0.663 0.059
Ga 0.663 0.663 0.441
Ga 0.665 0.994 0.928
Ga 0.006 0.335 0.428
Ga 0.006 0.335 0.072
Ga 0.456 0.664 0.750
Eu 0.002 0.330 0.750
Eu 0.998 0.670 0.250
Eu 0.670 0.998 0.250
Eu 0.330 0.002 0.750

The following is a r²SCAN calculation of a relaxed PrZn crystal, from the Materials Project.

Summary:
Space-group type ... Pm-3m, No. 221
Crystal system ... cubic

a = 3.703 Å, b = 3.703 Å, c = 3.703 Å
α = 90.00°, β = 90.00°, γ = 90.00°
Element x y z (fractional)
Pr 0.000 0.000 0.000
Zn 0.500 0.500 0.500

no.,DFT formation energy (eV per atom),magnetic moment (μB/f.u.),energy (eV per atom)
1,-0.681,14.07,-18.71
2,-0.304,0.00,-19.46